No. 1
Crystalline Li2Fe2Si2O9 at its relaxed geometry. Source: the Materials Project database, functional PBE with a Hubbard U.

abc: 8.5180 5.1712 14.2718
angles: 90.00 90.00 90.00
With the nearest neighbours (Å) after each atom.
Sites, in units of the cell vectors:
Li1 0.0462 0.1246 0.1583  5 O 2.13-2.37
Li2 0.0462 0.8754 0.6583  5 O 2.13-2.37
Li3 0.4538 0.3754 0.6583  5 O 2.13-2.37
Li4 0.4538 0.6246 0.1583  5 O 2.13-2.37
Li5 0.5462 0.3754 0.8417  5 O 2.13-2.37
Li6 0.5462 0.6246 0.3417  5 O 2.13-2.37
Li7 0.9538 0.1246 0.3417  5 O 2.13-2.37
Li8 0.9538 0.8754 0.8417  5 O 2.13-2.37
Fe1 0.1545 0.3799 0.8306  5 O 1.92-2.06
Fe2 0.1545 0.6201 0.3306  5 O 1.92-2.06
Fe3 0.3455 0.1201 0.3306  5 O 1.92-2.06
Fe4 0.3455 0.8799 0.8306  5 O 1.92-2.06
Fe5 0.6545 0.1201 0.1694  5 O 1.92-2.06
Fe6 0.6545 0.8799 0.6694  5 O 1.92-2.06
Fe7 0.8455 0.3799 0.6694  5 O 1.92-2.06
Fe8 0.8455 0.6201 0.1694  5 O 1.92-2.06
Si1 0.1547 0.2866 0.5284  4 O 1.62-1.65
Si2 0.1547 0.7134 0.0284  4 O 1.62-1.65
Si3 0.3453 0.2134 0.0284  4 O 1.62-1.65
Si4 0.3453 0.7866 0.5284  4 O 1.62-1.65
Si5 0.6547 0.2134 0.4716  4 O 1.62-1.65
Si6 0.6547 0.7866 0.9716  4 O 1.62-1.65
Si7 0.8453 0.2866 0.9716  4 O 1.62-1.65
Si8 0.8453 0.7134 0.4716  4 O 1.62-1.65
O1 0.0000 0.4650 0.2500  2 Fe 1.92
O2 0.0000 0.5350 0.7500  2 Fe 1.92
O3 0.0122 0.2233 0.9225  1 Si 1.62
O4 0.0122 0.7767 0.4225  1 Si 1.62
O5 0.1551 0.2912 0.4125  1 Si 1.65
O6 0.1551 0.7088 0.9125  1 Si 1.65
O7 0.1775 0.0548 0.7672  2 Fe 1.92, 1 Li 2.13
O8 0.1775 0.9452 0.2672  2 Fe 1.92, 1 Li 2.13
O9 0.2244 0.4378 0.0678  2 Si 1.64-1.65
O10 0.2244 0.5622 0.5678  2 Si 1.64-1.65
O11 0.2756 0.0622 0.5678  2 Si 1.64-1.65
O12 0.2756 0.9378 0.0678  2 Si 1.64-1.65
O13 0.3225 0.4452 0.2672  2 Fe 1.92, 1 Li 2.13
O14 0.3225 0.5548 0.7672  2 Fe 1.92, 1 Li 2.13
O15 0.3449 0.2088 0.9125  1 Si 1.65
O16 0.3449 0.7912 0.4125  1 Si 1.65
O17 0.4878 0.2767 0.4225  1 Si 1.62
O18 0.4878 0.7233 0.9225  1 Si 1.62
O19 0.5000 0.0350 0.7500  2 Fe 1.92
O20 0.5000 0.9650 0.2500  2 Fe 1.92
O21 0.5122 0.2767 0.0775  1 Si 1.62
O22 0.5122 0.7233 0.5775  1 Si 1.62
O23 0.6551 0.2088 0.5875  1 Si 1.65
O24 0.6551 0.7912 0.0875  1 Si 1.65
O25 0.6775 0.4452 0.2328  2 Fe 1.92, 1 Li 2.13
O26 0.6775 0.5548 0.7328  2 Fe 1.92, 1 Li 2.13
O27 0.7244 0.0622 0.9322  2 Si 1.64-1.65
O28 0.7244 0.9378 0.4322  2 Si 1.64-1.65
O29 0.7756 0.4378 0.4322  2 Si 1.64-1.65
O30 0.7756 0.5622 0.9322  2 Si 1.64-1.65
O31 0.8225 0.0548 0.7328  2 Fe 1.92, 1 Li 2.13
O32 0.8225 0.9452 0.2328  2 Fe 1.92, 1 Li 2.13
O33 0.8449 0.2912 0.0875  1 Si 1.65
O34 0.8449 0.7088 0.5875  1 Si 1.65
O35 0.9878 0.2233 0.5775  1 Si 1.62
O36 0.9878 0.7767 0.0775  1 Si 1.62

Values from the calculation:
* ΔH_f (0 K): -2.2624 eV/atom
* SG: Pbcn
* ΔE to the lowest computed polymorph: 7 meV per atom
* calculated volume: 10.5 Å³/atom

***

No. 2
Crystalline Ti3Cr2FeP6O24 at its relaxed geometry. Source: the Materials Project database, functional PBE with a Hubbard U.

abc: 8.6573 8.6573 8.6573
angles: 60.11 60.11 60.11
With the nearest neighbours (Å) after each atom.
Sites, in units of the cell vectors:
Ti1 0.0000 0.0000 0.0000  6 O 1.88-2.01
Ti2 0.2101 0.2101 0.2101  6 O 1.90-2.08
Ti3 0.7083 0.7083 0.7083  6 O 1.89-2.08
Cr1 0.3578 0.3578 0.3578  6 O 2.18-2.25
Cr2 0.8554 0.8554 0.8554  6 O 2.27-2.30
Fe1 0.4995 0.4995 0.4995  6 O 2.02-2.16
P1 0.1030 0.8117 0.3973  4 O 1.53-1.56
P2 0.3100 0.6029 0.9000  4 O 1.49-1.57
P3 0.3973 0.1030 0.8117  4 O 1.53-1.56
P4 0.6029 0.9000 0.3100  4 O 1.49-1.57
P5 0.8117 0.3973 0.1030  4 O 1.53-1.56
P6 0.9000 0.3100 0.6029  4 O 1.49-1.57
O1 0.0378 0.8640 0.2357  1 P 1.54
O2 0.0973 0.2968 0.4405  1 P 1.57
O3 0.1185 0.7705 0.9234  1 P 1.57
O4 0.1618 0.9766 0.3539  1 P 1.56
O5 0.2357 0.0378 0.8640  1 P 1.54
O6 0.2618 0.6209 0.4060  1 P 1.53
O7 0.2968 0.4405 0.0973  1 P 1.57
O8 0.3378 0.5460 0.7484  1 P 1.49
O9 0.3539 0.1618 0.9766  1 P 1.56
O10 0.4060 0.2618 0.6209  1 P 1.53
O11 0.4405 0.0973 0.2968  1 P 1.57
O12 0.4769 0.6607 0.8551  1 P 1.57
O13 0.5460 0.7484 0.3378  1 P 1.49
O14 0.5891 0.9366 0.8010  1 P 1.56
O15 0.6209 0.4060 0.2618  1 P 1.53
O16 0.6607 0.8551 0.4769  1 P 1.57
O17 0.7484 0.3378 0.5460  1 P 1.49
O18 0.7705 0.9234 0.1185  1 P 1.57
O19 0.8010 0.5891 0.9366  1 P 1.56
O20 0.8551 0.4769 0.6607  1 P 1.57
O21 0.8640 0.2357 0.0378  1 P 1.54
O22 0.9234 0.1185 0.7705  1 P 1.57
O23 0.9366 0.8010 0.5891  1 P 1.56
O24 0.9766 0.3539 0.1618  1 P 1.56

Values from the calculation:
* ΔH_f (0 K): -2.7725 eV/atom
* SG: R3
* calculated volume: 12.8 Å³/atom

***

No. 3
Crystalline Li2Ni5O10 at its relaxed geometry. Source: the Materials Project database, functional PBE with a Hubbard U.

abc: 4.9576 5.8800 7.4114
angles: 69.91 71.34 65.49
With the nearest neighbours (Å) after each atom.
Sites, in units of the cell vectors:
Li1 0.2439 0.4455 0.2224  4 O 1.92-2.09
Li2 0.7561 0.5545 0.7776  4 O 1.92-2.09
Ni1 0.1028 0.9957 0.3009  6 O 1.86-2.06
Ni2 0.3007 0.0044 0.8983  6 O 1.85-1.92
Ni3 0.5000 0.0000 0.5000  6 O 1.88
Ni4 0.6993 0.9956 0.1017  6 O 1.85-1.92
Ni5 0.8972 0.0043 0.6991  6 O 1.86-2.06
O1 0.1056 0.1870 0.4549  3 Ni 1.86-1.97, 1 Li 2.01
O2 0.1068 0.8141 0.1340  3 Ni 1.88-1.92, 1 Li 1.92
O3 0.3041 0.1913 0.0618  3 Ni 1.88-1.97, 1 Li 2.09
O4 0.3358 0.8049 0.7378  3 Ni 1.87-2.06, 1 Li 2.04
O5 0.4624 0.1978 0.6657  3 Ni 1.85-2.03
O6 0.5376 0.8022 0.3343  3 Ni 1.85-2.03
O7 0.6642 0.1951 0.2622  3 Ni 1.87-2.06, 1 Li 2.04
O8 0.6959 0.8087 0.9382  3 Ni 1.88-1.97, 1 Li 2.09
O9 0.8932 0.1859 0.8660  3 Ni 1.88-1.92, 1 Li 1.92
O10 0.8944 0.8130 0.5451  3 Ni 1.86-1.97, 1 Li 2.01

Values from the calculation:
* ΔH_f (0 K): -1.0841 eV/atom
* SG: P-1
* calculated volume: 10.6 Å³/atom

***

No. 4
Crystalline Li5Fe8B8O24 at its relaxed geometry. Source: the Materials Project database, functional PBE with a Hubbard U.

abc: 5.2244 9.0749 11.4261
angles: 67.31 77.53 89.72
With the nearest neighbours (Å) after each atom.
Sites, in units of the cell vectors:
Li1 0.0000 0.0000 0.0000  4 O 1.96-2.04
Li2 0.0292 0.0342 0.2493  4 O 1.93-2.04
Li3 0.2692 0.2495 0.4809  4 O 1.97-2.20
Li4 0.3169 0.2768 0.7469  4 O 1.97-2.08
Li5 0.5371 0.5382 0.2374  3 O 1.90-2.06
Fe1 0.0387 0.3491 0.9679  4 O 2.05-2.16
Fe2 0.0462 0.7114 0.2212  4 O 2.02-2.11
Fe3 0.2902 0.9201 0.4627  5 O 1.91-2.07
Fe4 0.3145 0.6318 0.7193  4 O 1.87-2.03
Fe5 0.5218 0.8352 0.9596  4 O 1.85-2.01
Fe6 0.5539 0.2230 0.2049  4 O 1.97-2.18
Fe7 0.7715 0.4351 0.4727  4 O 1.98-2.21
Fe8 0.8259 0.1167 0.7141  4 O 1.99-2.15
B1 0.0215 0.6847 0.9602  3 O 1.36-1.41
B2 0.0548 0.3799 0.2192  3 O 1.37-1.40
B3 0.2632 0.5902 0.4665  3 O 1.37-1.41
B4 0.3316 0.9692 0.7069  3 O 1.38-1.40
B5 0.5322 0.1648 0.9621  3 O 1.36-1.43
B6 0.5648 0.8832 0.2105  3 O 1.38-1.40
B7 0.7890 0.0969 0.4602  3 O 1.37-1.41
B8 0.8076 0.4598 0.7208  3 O 1.36-1.42
O1 0.0362 0.6184 0.4225  1 B 1.37
O2 0.0624 0.4482 0.7471  1 B 1.42
O3 0.1423 0.7901 0.0002  1 B 1.41
O4 0.1710 0.5868 0.9104  1 B 1.38
O5 0.2143 0.1095 0.6914  1 B 1.38
O6 0.2446 0.8620 0.6596  1 B 1.40
O7 0.2748 0.1748 0.9475  1 B 1.39
O8 0.3099 0.3791 0.2326  1 B 1.37
O9 0.3547 0.6945 0.5163  1 B 1.41
O10 0.4008 0.9754 0.2639  1 B 1.40
O11 0.4021 0.4639 0.4586  1 B 1.38
O12 0.4538 0.7749 0.1714  1 B 1.40
O13 0.5383 0.1042 0.4323  1 B 1.41
O14 0.5400 0.9331 0.7668  1 B 1.38
O15 0.6502 0.2598 0.0065  1 B 1.36
O16 0.6611 0.5824 0.7258  1 B 1.36
O17 0.6806 0.0464 0.9322  1 B 1.43
O18 0.7083 0.3426 0.6874  1 B 1.40
O19 0.7565 0.6786 0.9750  1 B 1.36
O20 0.8331 0.9029 0.1945  1 B 1.38
O21 0.8730 0.2036 0.5065  1 B 1.38
O22 0.8920 0.4888 0.2479  1 B 1.39
O23 0.9526 0.9877 0.4364  1 B 1.37
O24 0.9591 0.2692 0.1770  1 B 1.40

Values from the calculation:
* ΔH_f (0 K): -2.2824 eV/atom
* SG: P1
* ΔE to the lowest computed polymorph: 9 meV per atom
* calculated volume: 10.8 Å³/atom

***

No. 5
Crystalline Ba6Na2Mn2Ru2O17 at its relaxed geometry. Source: the Materials Project database, functional PBE with a Hubbard U.

abc: 5.9206 5.9206 30.1122
angles: 90.00 90.00 120.00
With the nearest neighbours (Å) after each atom.
Sites, in units of the cell vectors:
Ba1 0.0000 0.0000 0.0000  6 O 2.85
Ba2 0.0000 0.0000 0.2500  12 O 2.96-3.02
Ba3 0.0000 0.0000 0.5000  6 O 2.85
Ba4 0.0000 0.0000 0.7500  12 O 2.96-3.02
Ba5 0.3333 0.6667 0.0919  4 O 2.65-2.84
Ba6 0.3333 0.6667 0.4081  4 O 2.65-2.84
Ba7 0.3333 0.6667 0.6797  9 O 2.81-2.98
Ba8 0.3333 0.6667 0.8203  9 O 2.81-2.98
Ba9 0.6667 0.3333 0.1797  9 O 2.81-2.98
Ba10 0.6667 0.3333 0.3203  9 O 2.81-2.98
Ba11 0.6667 0.3333 0.5919  4 O 2.65-2.84
Ba12 0.6667 0.3333 0.9081  4 O 2.65-2.84
Na1 0.0000 0.0000 0.1243  6 O 2.27-2.38
Na2 0.0000 0.0000 0.3757  6 O 2.27-2.38
Na3 0.0000 0.0000 0.6243  6 O 2.27-2.38
Na4 0.0000 0.0000 0.8757  6 O 2.27-2.38
Mn1 0.3333 0.6667 0.5523  4 O 1.69-1.73
Mn2 0.3333 0.6667 0.9477  4 O 1.69-1.73
Mn3 0.6667 0.3333 0.0523  4 O 1.69-1.73
Mn4 0.6667 0.3333 0.4477  4 O 1.69-1.73
Ru1 0.3333 0.6667 0.2037  6 O 1.90-2.10
Ru2 0.3333 0.6667 0.2963  6 O 1.90-2.10
Ru3 0.6667 0.3333 0.7037  6 O 1.90-2.10
Ru4 0.6667 0.3333 0.7963  6 O 1.90-2.10
O1 0.0275 0.5137 0.2500  2 Ru 2.10
O2 0.1765 0.3530 0.5731  1 Mn 1.73
O3 0.1765 0.3530 0.9269  1 Mn 1.73
O4 0.1765 0.8235 0.5731  1 Mn 1.73
O5 0.1765 0.8235 0.9269  1 Mn 1.73
O6 0.1768 0.3536 0.1699  1 Ru 1.90
O7 0.1768 0.3536 0.3301  1 Ru 1.90
O8 0.1768 0.8232 0.1699  1 Ru 1.90
O9 0.1768 0.8232 0.3301  1 Ru 1.90
O10 0.3333 0.6667 0.0039  1 Mn 1.69
O11 0.3333 0.6667 0.4961  1 Mn 1.69
O12 0.3530 0.1765 0.0731  1 Mn 1.73
O13 0.3530 0.1765 0.4269  1 Mn 1.73
O14 0.3536 0.1768 0.6699  1 Ru 1.90
O15 0.3536 0.1768 0.8301  1 Ru 1.90
O16 0.4863 0.5137 0.2500  2 Ru 2.10
O17 0.4863 0.9725 0.2500  2 Ru 2.10
O18 0.5137 0.0275 0.7500  2 Ru 2.10
O19 0.5137 0.4863 0.7500  2 Ru 2.10
O20 0.6464 0.8232 0.1699  1 Ru 1.90
O21 0.6464 0.8232 0.3301  1 Ru 1.90
O22 0.6470 0.8235 0.5731  1 Mn 1.73
O23 0.6470 0.8235 0.9269  1 Mn 1.73
O24 0.6667 0.3333 0.5039  1 Mn 1.69
O25 0.6667 0.3333 0.9961  1 Mn 1.69
O26 0.8232 0.1768 0.6699  1 Ru 1.90
O27 0.8232 0.1768 0.8301  1 Ru 1.90
O28 0.8232 0.6464 0.6699  1 Ru 1.90
O29 0.8232 0.6464 0.8301  1 Ru 1.90
O30 0.8235 0.1765 0.0731  1 Mn 1.73
O31 0.8235 0.1765 0.4269  1 Mn 1.73
O32 0.8235 0.6470 0.0731  1 Mn 1.73
O33 0.8235 0.6470 0.4269  1 Mn 1.73
O34 0.9725 0.4863 0.7500  2 Ru 2.10

Values from the calculation:
* ΔH_f (0 K): -2.3383 eV/atom
* SG: P6_3/mmc
* calculated volume: 15.8 Å³/atom

***

No. 6
Crystalline Nd2NiO4 at its relaxed geometry. Source: the Materials Project database, functional PBE with a Hubbard U.

abc: 6.6681 6.6681 5.6821
angles: 90.00 90.00 132.02
With the nearest neighbours (Å) after each atom.
Sites, in units of the cell vectors:
Nd1 0.1370 0.8630 0.9826  4 O 2.29-2.48
Nd2 0.3630 0.6370 0.4826  4 O 2.29-2.48
Nd3 0.6370 0.3630 0.5174  4 O 2.29-2.48
Nd4 0.8630 0.1370 0.0174  4 O 2.29-2.48
Ni1 0.0000 0.0000 0.5000  4 O 1.98
Ni2 0.5000 0.5000 0.0000  4 O 1.98
O1 0.1797 0.8203 0.5708  1 Ni 2.23, 2 Nd 2.29-2.40
O2 0.2295 0.2705 0.7500  2 Ni 1.98
O3 0.2705 0.2295 0.2500  2 Ni 1.98
O4 0.3203 0.6797 0.0708  1 Ni 2.23, 2 Nd 2.29-2.40
O5 0.6797 0.3203 0.9292  1 Ni 2.23, 2 Nd 2.29-2.40
O6 0.7295 0.7705 0.7500  2 Ni 1.98
O7 0.7705 0.7295 0.2500  2 Ni 1.98
O8 0.8203 0.1797 0.4292  1 Ni 2.23, 2 Nd 2.29-2.40

Values from the calculation:
* ΔH_f (0 K): -2.9751 eV/atom
* SG: Cmce
* ΔE to the lowest computed polymorph: 4 meV per atom
* calculated volume: 13.4 Å³/atom